VASP calculation (PBE) on a relaxed MnH8N4Cl2 crystal. Values from VASP.

```
&SYSTEM
  ibrav = 0, nat = 15, ntyp = 4
/
ATOMIC_SPECIES
N 14.01 N.upf
Cl 35.45 Cl.upf
H 1.01 H.upf
Mn 54.94 Mn.upf
CELL_PARAMETERS angstrom
4.037 4.550 0.000
-4.037 4.550 0.000
0.000 1.076 4.205
ATOMIC_POSITIONS crystal
N 0.753 0.149 0.392
Cl 0.718 0.718 0.999
H 0.264 0.636 0.292
Cl 0.282 0.282 0.001
H 0.982 0.329 0.472
H 0.736 0.364 0.708
N 0.149 0.753 0.392
H 0.671 0.018 0.528
Mn 0.000 0.000 0.000
H 0.018 0.671 0.528
H 0.329 0.982 0.472
H 0.636 0.264 0.292
N 0.851 0.247 0.608
H 0.364 0.736 0.708
N 0.247 0.851 0.608
```

Computed properties:
Total magnetization ... 5.00 μB per formula unit
Electronic total energy ... -5.245 eV per atom
SG ... C2/m, No. 12
Crystal system ... monoclinic